# LaCu9Sn4

LaCu9Sn4 after structural relaxation (PBE, the Materials Project).

Calculated values
ΔH_f (0 K), meV/atom: -15
Total moment, Bohr magnetons per cell: 0.00

Cell lengths 9.0695, 9.0695, 11.8465 Å; angles 90.00, 90.00, 90.00 degrees
Space group I4/mcm (No. 140)
Symmetry-distinct sites (fractional):
La (0.0000, 0.0000, 0.2500) [4 per cell]
Cu (0.0000, 0.5000, 0.0000) [4 per cell]
Cu (0.1060, 0.3940, 0.1791) [16 per cell]
Cu (0.1915, 0.3085, 0.3607) [16 per cell]
Sn (0.0464, 0.2179, 0.0000) [16 per cell]